(1)
Below is a relaxed structure of YMg14Co, with properties calculated at the PBE level.

```
data_YMg14Co
_chemical_formula_sum 'Y2 Mg28 Co2'
_space_group_name_H-M_alt 'A m m 2'
_space_group_IT_number 38
_cell_length_a 10.216
_cell_length_b 6.175
_cell_length_c 11.319
_cell_angle_alpha 90.00
_cell_angle_beta 90.00
_cell_angle_gamma 90.00
loop_
_space_group_symop_operation_xyz
'x,y,z'
'-x,-y,z'
'-x,y,z'
'x,-y,z'
'x,y+1/2,z+1/2'
'-x,-y+1/2,z+1/2'
'-x,y+1/2,z+1/2'
'x,-y+1/2,z+1/2'
loop_
_atom_site_label
_atom_site_fract_x
_atom_site_fract_y
_atom_site_fract_z
_atom_site_occupancy
Y1 0.000 0.000 0.000 1
Mg1 0.000 0.238 0.252 1
Mg2 0.220 0.000 0.635 1
Mg3 0.247 0.245 0.399 1
Mg4 0.262 0.000 0.151 1
Mg5 0.500 0.000 0.488 1
Mg6 0.500 0.000 0.984 1
Mg7 0.500 0.246 0.737 1
Co1 0.000 0.000 0.477 1
```

Computed properties:
ρ in g/cm3: 2.3
Energy above the lowest structure with this stoichiometry in meV/atom: 0
Calculated formation energy in eV per atom: 0.05

=====

(2)
Below is a relaxed structure of SmNi2As2, with properties calculated at the PBE level.

```
data_SmNi2As2
_chemical_formula_sum 'Sm2 Ni4 As4'
_space_group_name_H-M_alt 'I 4/m m m'
_space_group_IT_number 139
_space_group_name_Hall '-I 4 2'
_cell_length_a 4.074
_cell_length_b 4.074
_cell_length_c 10.025
_cell_angle_alpha 90.00
_cell_angle_beta 90.00
_cell_angle_gamma 90.00
loop_
_atom_site_label
_atom_site_fract_x
_atom_site_fract_y
_atom_site_fract_z
_atom_site_occupancy
Sm1 0.000 0.000 0.000 1
Ni1 0.000 0.500 0.250 1
As1 0.000 0.000 0.370 1
```

Computed properties:
ρ in g/cm3: 8.3
Calculated formation energy in eV per atom: -0.79

=====

Here are the calculated uncorrected energy numbers, same order: -70.39, -59.11 (eV for the cell shown).